(1)
V2Si2O7: relaxed, PBE+U.

As for the total magnetization: 4.000 μB per formula unit.

Cell lengths 4.686, 5.211, 5.384 Å; angles 106.26, 96.24, 97.84 degrees
Sites, in units of the cell vectors:
V: 0.008 0.179 0.309
V: 0.992 0.821 0.691
Si: 0.405 0.729 0.229
Si: 0.595 0.271 0.771
O: 0.211 0.905 0.086
O: 0.212 0.571 0.397
O: 0.275 0.097 0.607
O: 0.500 0.500 0.000
O: 0.725 0.903 0.393
O: 0.788 0.429 0.603
O: 0.789 0.095 0.914


(2)
V2Si2O7: relaxed, PBE+U.

As for the total magnetization: 4.000 μB per formula unit.

Cell lengths 4.695, 8.433, 6.350 Å; angles 90.00, 101.79, 90.00 degrees
Sites, in units of the cell vectors:
V: 0.000 0.063 0.250
V: 0.000 0.434 0.250
V: 0.000 0.566 0.750
V: 0.000 0.937 0.750
Si: 0.405 0.252 0.979
Si: 0.405 0.748 0.479
Si: 0.595 0.252 0.521
Si: 0.595 0.748 0.021
O: 0.206 0.091 0.988
O: 0.206 0.909 0.488
O: 0.215 0.415 0.992
O: 0.215 0.585 0.492
O: 0.275 0.249 0.353
O: 0.275 0.751 0.853
O: 0.500 0.250 0.750
O: 0.500 0.750 0.250
O: 0.725 0.249 0.147
O: 0.725 0.751 0.647
O: 0.785 0.415 0.508
O: 0.785 0.585 0.008
O: 0.794 0.091 0.512
O: 0.794 0.909 0.012


Computed stability ranking, most favorable first: (1), (2)